Compound: BaTiO3
Source: Materials Project
Functional: r2SCAN
Structure: relaxed

It has space group R3m (No. 160, hexagonal axes), with a = 5.6965 Å, b = 5.6965 Å, c = 7.0067 Å, α = 90.00°, β = 90.00° and γ = 120.00°. The inequivalent atoms are Ba at (0.0000, 0.0000, 0.0000), Ti at (0.0000, 0.0000, 0.5132) and O at (0.1697, 0.3395, 0.3191).

Its energy of formation from the pure elements is -3.37 eV/atom.

=====

Compound: U3Al3CoRu2
Source: Materials Project
Functional: r2SCAN
Structure: relaxed

It has space group P-62m (No. 189), with a = 6.8032 Å, b = 6.8032 Å, c = 4.0193 Å, α = 90.00°, β = 90.00° and γ = 120.00°. The inequivalent atoms are U at (0.0000, 0.4200, 0.0000), Al at (0.0000, 0.7723, 0.5000), Co at (0.0000, 0.0000, 0.0000) and Ru at (0.3333, 0.6667, 0.5000).

Its energy of formation from the pure elements is -0.44 eV/atom.

=====

Compound: FeOF
Source: Materials Project
Functional: r2SCAN
Structure: relaxed

It has space group Pnma (No. 62), with a = 9.561 Å, b = 3.008 Å, c = 4.908 Å, α = 90.00°, β = 90.00° and γ = 90.00°. The inequivalent atoms are Fe at (0.157, 0.250, 0.026), O at (0.228, 0.750, 0.828) and F at (0.031, 0.750, 0.197).

Its energy of formation from the pure elements is -2.09 eV/atom.

=====

Compound: Cs2Ni3S4
Source: Materials Project
Functional: r2SCAN
Structure: relaxed

It has space group P6_3/mmc (No. 194), with a = 5.8491 Å, b = 5.8491 Å, c = 15.2169 Å, α = 90.00°, β = 90.00° and γ = 120.00°. The inequivalent atoms are Cs at (0.3333, 0.6667, 0.0891), Ni at (0.1664, 0.3329, 0.7500), S at (0.0000, 0.0000, 0.1569) and S at (0.3333, 0.6667, 0.6567).

Its energy of formation from the pure elements is -0.88 eV/atom.

=====

Compound: BaAg2Sn2
Source: Materials Project
Functional: r2SCAN
Structure: relaxed

It has space group I4/mmm (No. 139), with a = 4.854 Å, b = 4.854 Å, c = 11.523 Å, α = 90.00°, β = 90.00° and γ = 90.00°. The inequivalent atoms are Ba at (0.000, 0.000, 0.000), Ag at (0.000, 0.500, 0.250) and Sn at (0.000, 0.000, 0.375).

Its energy of formation from the pure elements is -0.41 eV/atom.

=====

Compound: HoGa3
Source: Materials Project
Functional: r2SCAN
Structure: relaxed

It has space group P6_3/mmc (No. 194), with a = 6.0976 Å, b = 6.0976 Å, c = 13.9705 Å, α = 90.00°, β = 90.00° and γ = 120.00°. The inequivalent atoms are Ho at (0.0000, 0.0000, 0.2500), Ho at (0.3333, 0.6667, 0.0935), Ga at (0.0471, 0.5235, 0.7500) and Ga at (0.1685, 0.3370, 0.5813).

Its energy of formation from the pure elements is -0.55 eV/atom.